No. 1
{
  "formula": "SrCa7Mn7CrO21",
  "functional": "GGA+U",
  "state": "optimized geometry",
  "lattice": [[-5.846, -8.622, -3.618], [6.306, 1.797, -14.078], [8.376, -6.538, 2.926]],
  "species": ["Sr", "Sr", "Sr", "Sr", "Ca", "Ca", "Ca", "Ca", "Ca", "Ca", "Ca", "Ca", "Ca", "Ca", "Ca", "Ca", "Ca", "Ca", "Ca", "Ca", "Ca", "Ca", "Ca", "Ca", "Ca", "Ca", "Ca", "Ca", "Ca", "Ca", "Ca", "Ca", "O", "O", "O", "O", "O", "O", "O", "O", "O", "O", "O", "O", "O", "O", "O", "O", "O", "O", "O", "O", "O", "O", "O", "O", "O", "O", "O", "O", "O", "O", "O", "O", "O", "O", "O", "O", "O", "O", "O", "O", "O", "O", "O", "O", "O", "O", "O", "O", "O", "O", "O", "O", "O", "O", "O", "O", "O", "O", "O", "O", "O", "O", "O", "O", "O", "O", "O", "O", "O", "O", "O", "O", "O", "O", "O", "O", "O", "O", "O", "O", "O", "O", "O", "O", "Mn", "Mn", "Mn", "Mn", "Mn", "Mn", "Mn", "Mn", "Mn", "Mn", "Mn", "Mn", "Mn", "Mn", "Mn", "Mn", "Mn", "Mn", "Mn", "Mn", "Mn", "Mn", "Mn", "Mn", "Mn", "Mn", "Mn", "Mn", "Cr", "Cr", "Cr", "Cr"],
  "frac_coords": [[0.240, 0.387, 0.247], [0.511, 0.385, 0.987], [0.997, 0.111, 0.509], [0.231, 0.120, 0.242], [0.238, 0.626, 0.261], [0.737, 0.385, 0.753], [0.518, 0.859, 0.983], [0.542, 0.126, 0.477], [0.268, 0.631, 0.738], [0.993, 0.111, 0.006], [0.968, 0.873, 0.511], [0.221, 0.872, 0.737], [0.012, 0.622, 0.994], [0.782, 0.122, 0.755], [0.529, 0.630, 0.512], [0.222, 0.108, 0.738], [0.499, 0.380, 0.514], [0.761, 0.385, 0.252], [0.777, 0.113, 0.251], [0.781, 0.622, 0.252], [0.764, 0.869, 0.259], [0.958, 0.389, 0.502], [0.771, 0.623, 0.758], [0.493, 0.868, 0.510], [0.008, 0.624, 0.510], [0.956, 0.880, 0.002], [0.549, 0.129, 0.986], [0.965, 0.389, 0.004], [0.533, 0.622, 0.974], [0.739, 0.867, 0.750], [0.235, 0.406, 0.762], [0.228, 0.888, 0.272], [0.407, 0.696, 0.360], [0.282, 0.881, 0.475], [0.998, 0.872, 0.293], [0.911, 0.237, 0.921], [0.588, 0.992, 0.078], [0.098, 0.771, 0.608], [0.865, 0.276, 0.150], [0.861, 0.487, 0.143], [0.636, 0.032, 0.848], [0.887, 0.012, 0.896], [0.160, 0.749, 0.337], [0.755, 0.125, 0.039], [0.150, 0.003, 0.861], [0.753, 0.125, 0.538], [0.879, 0.011, 0.387], [0.148, 0.251, 0.313], [0.649, 0.728, 0.855], [0.214, 0.136, 0.019], [0.845, 0.978, 0.141], [0.097, 0.476, 0.617], [0.001, 0.872, 0.795], [0.388, 0.513, 0.899], [0.626, 0.023, 0.340], [0.145, 0.009, 0.366], [0.892, 0.517, 0.895], [0.225, 0.654, 0.055], [0.593, 0.256, 0.101], [0.993, 0.128, 0.220], [0.909, 0.241, 0.408], [0.351, 0.496, 0.643], [0.489, 0.625, 0.720], [0.853, 0.980, 0.648], [0.395, 0.182, 0.857], [0.853, 0.480, 0.645], [0.994, 0.381, 0.291], [0.350, 0.003, 0.160], [0.597, 0.754, 0.108], [0.236, 0.128, 0.532], [0.740, 0.873, 0.965], [0.149, 0.511, 0.358], [0.739, 0.378, 0.464], [0.100, 0.972, 0.110], [0.660, 0.220, 0.347], [0.659, 0.722, 0.354], [0.486, 0.375, 0.761], [0.641, 0.514, 0.857], [0.603, 0.762, 0.602], [0.744, 0.871, 0.466], [0.852, 0.771, 0.647], [0.404, 0.201, 0.351], [0.147, 0.526, 0.860], [0.002, 0.128, 0.735], [0.296, 0.876, 0.988], [0.518, 0.871, 0.776], [0.898, 0.733, 0.901], [0.866, 0.770, 0.141], [0.098, 0.978, 0.621], [0.893, 0.730, 0.407], [0.179, 0.253, 0.801], [0.478, 0.378, 0.291], [0.601, 0.488, 0.609], [0.145, 0.738, 0.847], [0.888, 0.520, 0.391], [0.986, 0.625, 0.717], [0.473, 0.869, 0.292], [0.293, 0.327, 0.022], [0.006, 0.628, 0.216], [0.591, 0.994, 0.582], [0.625, 0.530, 0.364], [0.015, 0.379, 0.798], [0.749, 0.626, 0.036], [0.658, 0.229, 0.858], [0.111, 0.482, 0.104], [0.745, 0.625, 0.547], [0.750, 0.377, 0.971], [0.615, 0.495, 0.110], [0.282, 0.372, 0.485], [0.356, 0.765, 0.644], [0.576, 0.251, 0.587], [0.361, 0.517, 0.160], [0.858, 0.276, 0.651], [0.347, 0.996, 0.663], [0.409, 0.730, 0.897], [0.229, 0.626, 0.524], [0.508, 0.993, 0.736], [0.496, 0.503, 0.747], [0.994, 0.992, 0.758], [0.749, 0.251, 0.506], [0.998, 0.750, 0.263], [0.002, 0.503, 0.253], [0.753, 0.504, 0.001], [0.995, 0.257, 0.764], [0.743, 0.000, 0.995], [0.753, 0.746, 0.506], [0.744, 0.504, 0.503], [0.504, 0.748, 0.748], [0.267, 0.246, 0.464], [0.242, 0.999, 0.515], [0.760, 0.250, 0.004], [0.509, 0.495, 0.245], [0.997, 0.750, 0.749], [0.512, 0.248, 0.750], [0.505, 0.981, 0.229], [0.249, 0.751, 0.499], [0.997, 0.501, 0.754], [0.260, 0.756, 0.975], [0.252, 0.521, 0.008], [0.524, 0.257, 0.257], [0.743, 0.998, 0.497], [0.754, 0.746, 0.000], [0.520, 0.749, 0.263], [0.238, 0.498, 0.510], [0.236, 0.992, 0.013], [0.985, 0.253, 0.269], [0.994, 0.996, 0.253], [0.266, 0.232, 0.940]],
  "space_group": "P1, No. 1",
  "rho_g_cm3": 4.02,
  "e_above_lowest_polymorph_mev_per_atom": 8,
  "total_energy_ev_per_cell": -1035.54,
  "formation_energy_mev_per_atom": -2528.7
}



No. 2
{
  "formula": "Ca2NbCrO6",
  "functional": "GGA+U",
  "state": "optimized geometry",
  "lattice": [[-4.473, -5.587, 3.153], [8.962, 0.000, 3.240], [-4.474, 5.587, 3.153]],
  "species": ["O", "O", "O", "O", "O", "O", "O", "O", "O", "O", "O", "O", "O", "O", "O", "O", "O", "O", "O", "O", "O", "O", "O", "O", "Ca", "Ca", "Ca", "Ca", "Ca", "Ca", "Ca", "Ca", "Cr", "Cr", "Cr", "Cr", "Nb", "Nb", "Nb", "Nb"],
  "frac_coords": [[0.069, 0.250, 0.594], [0.272, 0.047, 0.478], [0.433, 0.956, 0.728], [0.656, 0.250, 0.681], [0.567, 0.043, 0.272], [0.978, 0.456, 0.183], [0.772, 0.454, 0.478], [0.728, 0.547, 0.022], [0.772, 0.047, 0.978], [0.228, 0.954, 0.022], [0.728, 0.954, 0.522], [0.228, 0.547, 0.522], [0.023, 0.543, 0.817], [0.477, 0.456, 0.683], [0.344, 0.750, 0.319], [0.569, 0.250, 0.094], [0.156, 0.250, 0.181], [0.844, 0.750, 0.819], [0.272, 0.454, 0.978], [0.431, 0.750, 0.906], [0.522, 0.543, 0.317], [0.933, 0.956, 0.228], [0.067, 0.043, 0.772], [0.931, 0.751, 0.406], [0.404, 0.252, 0.358], [0.596, 0.748, 0.642], [0.096, 0.748, 0.142], [0.904, 0.252, 0.858], [0.392, 0.248, 0.846], [0.608, 0.752, 0.154], [0.108, 0.752, 0.654], [0.892, 0.248, 0.346], [0.500, 0.000, 0.500], [0.250, 0.500, 0.750], [0.000, 0.000, 0.000], [0.750, 0.500, 0.250], [0.000, 0.000, 0.500], [0.250, 0.500, 0.250], [0.500, 0.000, 0.000], [0.750, 0.500, 0.750]],
  "rho_g_cm3": 4.46,
  "total_energy_ev_per_cell": -313.96,
  "formation_energy_mev_per_atom": -3115.8
}



No. 3
{
  "formula": "CaNdCr4O12",
  "functional": "GGA+U",
  "state": "optimized geometry",
  "lattice": [[0.000, -3.733, -3.735], [0.000, -3.733, 3.735], [-7.521, 0.000, 0.000]],
  "species": ["O", "O", "O", "O", "O", "O", "O", "O", "O", "O", "O", "O", "Cr", "Cr", "Cr", "Cr", "Nd", "Ca"],
  "frac_coords": [[0.714, 0.715, 0.248], [0.788, 0.212, 0.287], [0.960, 0.457, 0.000], [0.285, 0.286, 0.752], [0.210, 0.790, 0.214], [0.285, 0.286, 0.248], [0.025, 0.534, 0.500], [0.543, 0.040, 0.000], [0.714, 0.715, 0.752], [0.788, 0.212, 0.713], [0.466, 0.975, 0.500], [0.210, 0.790, 0.786], [0.997, 0.495, 0.755], [0.505, 0.003, 0.245], [0.505, 0.003, 0.755], [0.997, 0.495, 0.245], [0.021, 0.979, 0.500], [0.482, 0.518, 0.000]],
  "space_group": "Amm2, No. 38",
  "rho_g_cm3": 4.63,
  "total_energy_ev_per_cell": -126.40,
  "formation_energy_mev_per_atom": -2104.1
}